1.
First-principles (PBE with a Hubbard U) data for a relaxed K2Be2NiH6F8 crystal, as listed in Materials Project.

Computed properties:
M_tot (μB per formula unit): 0.00
E above lowest polymorph (kJ/mol of atoms): 0.3
Electronic total energy (eV/atom): -4.2317
Corrected total energy (MP2020 scheme) (eV/atom): -4.56

Cell lengths 6.068, 11.545, 7.864 Å; angles 90.00, 109.54, 90.00 degrees
Space group P2_1/c (No. 14)
One atom of each set of equivalent atoms:
K: 0.169 0.144 0.382
Be: 0.220 0.673 0.875
Ni: 0.500 0.000 0.000
H: 0.354 0.594 0.561
H: 0.409 0.581 0.260
H: 0.484 0.595 0.638
F: 0.069 0.744 0.434
F: 0.104 0.570 0.776
F: 0.364 0.573 0.128
F: 0.448 0.717 0.869

2.
First-principles (PBE with a Hubbard U) data for a relaxed K2Be2NiH6F8 crystal, as listed in Materials Project.

Computed properties:
M_tot (μB per formula unit): 0.00
E above lowest polymorph (kJ/mol of atoms): 0.0
Electronic total energy (eV/atom): -4.2352
Corrected total energy (MP2020 scheme) (eV/atom): -4.56

Cell lengths 5.936, 11.724, 7.899 Å; angles 90.00, 103.54, 90.00 degrees
Space group P2_1/c (No. 14)
One atom of each set of equivalent atoms:
K: 0.188 0.145 0.371
Be: 0.230 0.679 0.863
Ni: 0.500 0.000 0.000
H: 0.379 0.610 0.550
H: 0.386 0.568 0.265
H: 0.487 0.597 0.635
F: 0.072 0.738 0.421
F: 0.131 0.571 0.781
F: 0.338 0.573 0.137
F: 0.472 0.715 0.868

3.
First-principles (PBE with a Hubbard U) data for a relaxed Be2NiH20N2O6F8 crystal, as listed in Materials Project.

Computed properties:
M_tot (μB per formula unit): 2.00
Electronic total energy (eV/atom): -5.0307
Corrected total energy (MP2020 scheme) (eV/atom): -5.30

Cell lengths 6.164, 12.572, 9.207 Å; angles 90.00, 106.72, 90.00 degrees
Space group P2_1/c (No. 14)
One atom of each set of equivalent atoms:
Be: 0.247 0.142 0.403
Ni: 0.500 0.000 0.000
H: 0.007 0.650 0.922
H: 0.086 0.703 0.778
H: 0.137 0.573 0.824
H: 0.160 0.060 0.093
H: 0.167 0.143 0.963
H: 0.168 0.590 0.296
H: 0.286 0.668 0.943
H: 0.394 0.629 0.259
H: 0.438 0.094 0.729
H: 0.478 0.679 0.639
N: 0.131 0.649 0.867
O: 0.198 0.068 0.996
O: 0.327 0.612 0.342
O: 0.460 0.604 0.665
F: 0.084 0.239 0.396
F: 0.119 0.064 0.271
F: 0.281 0.086 0.558
F: 0.478 0.181 0.381

4.
First-principles (PBE with a Hubbard U) data for a relaxed K2Be3Ni2F12 crystal, as listed in Materials Project.

Computed properties:
M_tot (μB per formula unit): 3.95
Electronic total energy (eV/atom): -5.0507
Corrected total energy (MP2020 scheme) (eV/atom): -5.61

Cell lengths 10.033, 10.033, 10.033 Å; angles 90.00, 90.00, 90.00 degrees
Space group P2_13 (No. 198)
One atom of each set of equivalent atoms:
K: 0.050 0.050 0.050
K: 0.184 0.316 0.684
Be: 0.020 0.214 0.376
Ni: 0.099 0.901 0.401
Ni: 0.164 0.664 0.836
F: 0.004 0.564 0.765
F: 0.012 0.067 0.327
F: 0.047 0.807 0.229
F: 0.095 0.835 0.755